No. 1
Density functional theory data (GGA-PBE) for a relaxed structure of Tl5Cu14Se10.

```
data_Tl5Cu14Se10
_chemical_formula_sum 'Tl5 Cu14 Se10'
_space_group_name_H-M_alt 'P 1'
_space_group_IT_number 1
_cell_length_a 9.418
_cell_length_b 9.418
_cell_length_c 18.454
_cell_angle_alpha 62.60
_cell_angle_beta 62.60
_cell_angle_gamma 24.09
loop_
_space_group_symop_operation_xyz
'x,y,z'
loop_
_atom_site_label
_atom_site_fract_x
_atom_site_fract_y
_atom_site_fract_z
Cu1 0.910 0.910 0.380
Cu2 0.419 0.419 0.872
Cu3 0.304 0.304 0.470
Cu4 0.696 0.696 0.530
Cu5 0.809 0.809 0.952
Cu6 0.191 0.191 0.048
Cu7 0.581 0.581 0.128
Cu8 0.636 0.636 0.686
Cu9 0.976 0.976 0.216
Cu10 0.364 0.364 0.314
Cu11 0.476 0.476 0.718
Cu12 0.024 0.024 0.784
Cu13 0.524 0.524 0.282
Cu14 0.090 0.090 0.620
Tl1 0.223 0.223 0.821
Tl2 0.113 0.113 0.401
Tl3 0.000 0.000 0.000
Tl4 0.777 0.777 0.179
Tl5 0.887 0.887 0.599
Se1 0.663 0.663 0.981
Se2 0.885 0.885 0.794
Se3 0.545 0.545 0.571
Se4 0.773 0.773 0.383
Se5 0.337 0.337 0.019
Se6 0.430 0.430 0.168
Se7 0.455 0.455 0.429
Se8 0.570 0.570 0.832
Se9 0.115 0.115 0.206
Se10 0.227 0.227 0.617
```

Summary:
- Energy relative to the elements: -0.36 eV/atom
- Total DFT energy (no corrections): -109.9 eV for the cell shown



No. 2
Density functional theory data (GGA-PBE) for a relaxed structure of VIr.

```
data_VIr
_chemical_formula_sum 'V16 Ir16'
_space_group_name_H-M_alt 'P 1'
_space_group_IT_number 1
_cell_length_a 8.667
_cell_length_b 8.667
_cell_length_c 8.667
_cell_angle_alpha 131.00
_cell_angle_beta 100.13
_cell_angle_gamma 99.67
loop_
_space_group_symop_operation_xyz
'x,y,z'
loop_
_atom_site_label
_atom_site_fract_x
_atom_site_fract_y
_atom_site_fract_z
Ir1 0.623 0.141 0.019
Ir2 0.627 0.404 0.777
Ir3 0.873 0.130 0.257
Ir4 0.373 0.596 0.223
Ir5 0.373 0.150 0.777
Ir6 0.123 0.141 0.518
Ir7 0.123 0.605 0.981
Ir8 0.873 0.616 0.743
Ir9 0.127 0.870 0.743
Ir10 0.627 0.850 0.223
Ir11 0.877 0.395 0.019
Ir12 0.877 0.859 0.482
Ir13 0.623 0.605 0.482
Ir14 0.127 0.384 0.257
Ir15 0.377 0.859 0.981
Ir16 0.377 0.395 0.518
V1 0.642 0.773 0.869
V2 0.116 0.500 0.616
V3 0.380 0.000 0.380
V4 0.611 0.230 0.381
V5 0.151 0.770 0.381
V6 0.620 0.000 0.620
V7 0.904 0.773 0.131
V8 0.096 0.227 0.869
V9 0.130 0.000 0.130
V10 0.358 0.227 0.131
V11 0.849 0.230 0.619
V12 0.870 0.000 0.870
V13 0.389 0.770 0.619
V14 0.368 0.500 0.868
V15 0.884 0.500 0.384
V16 0.632 0.500 0.132
```

Summary:
- Energy relative to the elements: -0.52 eV/atom
- Total DFT energy (no corrections): -303.4 eV for the cell shown



No. 3
Density functional theory data (GGA-PBE) for a relaxed structure of MgZn3O4.

```
data_MgZn3O4
_chemical_formula_sum 'Mg1 Zn3 O4'
_space_group_name_H-M_alt 'P 1'
_space_group_IT_number 1
_cell_length_a 6.210
_cell_length_b 6.210
_cell_length_c 5.690
_cell_angle_alpha 62.73
_cell_angle_beta 62.73
_cell_angle_gamma 30.75
loop_
_space_group_symop_operation_xyz
'x,y,z'
loop_
_atom_site_label
_atom_site_fract_x
_atom_site_fract_y
_atom_site_fract_z
O1 0.441 0.441 0.892
O2 0.691 0.691 0.973
O3 0.939 0.939 0.395
O4 0.192 0.192 0.478
Zn1 0.249 0.249 0.086
Zn2 0.001 0.001 0.664
Zn3 0.501 0.501 0.168
Mg1 0.749 0.749 0.582
```

Summary:
- Energy relative to the elements: -2.09 eV/atom
- Total DFT energy (no corrections): -39.2 eV for the cell shown



No. 4
Density functional theory data (GGA-PBE) for a relaxed structure of LaMgTl.

```
data_LaMgTl
_chemical_formula_sum 'La3 Mg3 Tl3'
_space_group_name_H-M_alt 'P 1'
_space_group_IT_number 1
_cell_length_a 7.877
_cell_length_b 7.877
_cell_length_c 4.856
_cell_angle_alpha 90.00
_cell_angle_beta 90.00
_cell_angle_gamma 120.00
loop_
_space_group_symop_operation_xyz
'x,y,z'
loop_
_atom_site_label
_atom_site_fract_x
_atom_site_fract_y
_atom_site_fract_z
Tl1 0.667 0.333 0.500
Tl2 0.333 0.667 0.500
Tl3 0.000 0.000 0.000
Mg1 0.758 0.000 0.500
Mg2 0.000 0.758 0.500
Mg3 0.242 0.242 0.500
La1 0.574 0.574 0.000
La2 0.426 0.000 0.000
La3 0.000 0.426 0.000
```

Summary:
- Energy relative to the elements: -0.37 eV/atom
- Total DFT energy (no corrections): -30.1 eV for the cell shown



No. 5
Density functional theory data (GGA-PBE) for a relaxed structure of LiGaBr4.

```
data_LiGaBr4
_chemical_formula_sum 'Li4 Ga4 Br16'
_space_group_name_H-M_alt 'P 1'
_space_group_IT_number 1
_cell_length_a 7.364
_cell_length_b 7.520
_cell_length_c 14.048
_cell_angle_alpha 87.45
_cell_angle_beta 90.00
_cell_angle_gamma 90.00
loop_
_space_group_symop_operation_xyz
'x,y,z'
loop_
_atom_site_label
_atom_site_fract_x
_atom_site_fract_y
_atom_site_fract_z
Li1 0.011 0.153 0.622
Li2 0.989 0.847 0.378
Li3 0.511 0.847 0.878
Li4 0.489 0.153 0.122
Br1 0.627 0.186 0.930
Br2 0.822 0.433 0.689
Br3 0.310 0.308 0.550
Br4 0.810 0.692 0.950
Br5 0.308 0.065 0.311
Br6 0.322 0.567 0.811
Br7 0.178 0.567 0.311
Br8 0.873 0.186 0.430
Br9 0.690 0.692 0.450
Br10 0.373 0.814 0.070
Br11 0.678 0.433 0.189
Br12 0.190 0.308 0.050
Br13 0.808 0.935 0.189
Br14 0.192 0.065 0.811
Br15 0.127 0.814 0.570
Br16 0.692 0.935 0.689
Ga1 0.674 0.705 0.101
Ga2 0.326 0.295 0.899
Ga3 0.826 0.705 0.601
Ga4 0.174 0.295 0.399
```

Summary:
- Energy relative to the elements: -1.46 eV/atom
- Total DFT energy (no corrections): -72.3 eV for the cell shown



No. 6
Density functional theory data (GGA-PBE) for a relaxed structure of Ba8LiTa7O24.

```
data_Ba8LiTa7O24
_chemical_formula_sum 'Ba8 Li1 Ta7 O24'
_space_group_name_H-M_alt 'P 1'
_space_group_IT_number 1
_cell_length_a 5.898
_cell_length_b 5.898
_cell_length_c 19.147
_cell_angle_alpha 90.00
_cell_angle_beta 90.00
_cell_angle_gamma 120.00
loop_
_space_group_symop_operation_xyz
'x,y,z'
loop_
_atom_site_label
_atom_site_fract_x
_atom_site_fract_y
_atom_site_fract_z
O1 0.839 0.678 0.250
O2 0.500 0.500 0.005
O3 0.169 0.831 0.377
O4 0.662 0.831 0.377
O5 0.501 0.499 0.499
O6 0.336 0.168 0.620
O7 0.170 0.340 0.124
O8 0.501 0.001 0.499
O9 0.349 0.174 0.882
O10 0.170 0.830 0.124
O11 0.999 0.499 0.499
O12 0.839 0.161 0.250
O13 0.832 0.664 0.620
O14 0.660 0.830 0.124
O15 0.500 0.999 0.005
O16 0.001 0.500 0.005
O17 0.826 0.174 0.882
O18 0.832 0.168 0.620
O19 0.826 0.651 0.882
O20 0.684 0.842 0.743
O21 0.322 0.161 0.250
O22 0.158 0.316 0.743
O23 0.158 0.842 0.743
O24 0.169 0.338 0.377
Ta1 0.000 0.000 0.182
Ta2 0.667 0.333 0.936
Ta3 0.333 0.667 0.439
Ta4 0.000 0.000 0.318
Ta5 0.000 0.000 0.689
Ta6 0.333 0.667 0.061
Ta7 0.667 0.333 0.560
Ba1 0.667 0.333 0.132
Ba2 0.000 0.000 0.501
Ba3 0.333 0.667 0.250
Ba4 0.333 0.667 0.855
Ba5 0.000 0.000 0.994
Ba6 0.333 0.667 0.634
Ba7 0.667 0.333 0.754
Ba8 0.667 0.333 0.365
Li1 0.000 0.000 0.833
```

Summary:
- Energy relative to the elements: -3.30 eV/atom
- Total DFT energy (no corrections): -334.6 eV for the cell shown



No. 7
Density functional theory data (GGA-PBE) for a relaxed structure of YMg14BiO16.

```
data_YMg14BiO16
_chemical_formula_sum 'Y1 Mg14 Bi1 O16'
_space_group_name_H-M_alt 'P 1'
_space_group_IT_number 1
_cell_length_a 8.908
_cell_length_b 8.908
_cell_length_c 4.446
_cell_angle_alpha 90.00
_cell_angle_beta 90.00
_cell_angle_gamma 90.00
loop_
_space_group_symop_operation_xyz
'x,y,z'
loop_
_atom_site_label
_atom_site_fract_x
_atom_site_fract_y
_atom_site_fract_z
Mg1 0.000 0.500 0.000
Mg2 0.747 0.253 0.000
Mg3 0.000 0.738 0.500
Mg4 0.253 0.253 0.000
Mg5 0.000 0.262 0.500
Mg6 0.240 0.500 0.500
Mg7 0.253 0.747 0.000
Mg8 0.262 0.000 0.500
Mg9 0.500 0.760 0.500
Mg10 0.738 0.000 0.500
Mg11 0.747 0.747 0.000
Mg12 0.500 0.000 0.000
Mg13 0.500 0.240 0.500
Mg14 0.760 0.500 0.500
O1 0.249 0.249 0.500
O2 0.000 0.500 0.500
O3 0.000 0.254 0.000
O4 0.751 0.751 0.500
O5 0.751 0.249 0.500
O6 0.254 0.000 0.000
O7 0.500 0.220 0.000
O8 0.500 0.000 0.500
O9 0.000 0.746 0.000
O10 0.220 0.500 0.000
O11 0.249 0.751 0.500
O12 0.780 0.500 0.000
O13 0.000 0.000 0.500
O14 0.500 0.780 0.000
O15 0.500 0.500 0.500
O16 0.746 0.000 0.000
Y1 0.000 0.000 0.000
Bi1 0.500 0.500 0.000
```

Summary:
- Energy relative to the elements: -2.74 eV/atom
- Energy above the most stable polymorph in this dataset: 0 meV/atom
- Total DFT energy (no corrections): -188.5 eV for the cell shown



No. 8
Density functional theory data (GGA-PBE) for a relaxed structure of Tl9SbTe6.

```
data_Tl9SbTe6
_chemical_formula_sum 'Tl90 Sb10 Te60'
_space_group_name_H-M_alt 'P 1'
_space_group_IT_number 1
_cell_length_a 8.966
_cell_length_b 8.966
_cell_length_c 92.653
_cell_angle_alpha 118.87
_cell_angle_beta 118.87
_cell_angle_gamma 90.00
loop_
_space_group_symop_operation_xyz
'x,y,z'
loop_
_atom_site_label
_atom_site_fract_x
_atom_site_fract_y
_atom_site_fract_z
Tl1 0.991 0.488 0.769
Tl2 0.694 0.197 0.369
Tl3 0.992 0.487 0.968
Tl4 0.197 0.991 0.469
Tl5 0.513 0.308 0.931
Tl6 0.803 0.009 0.831
Tl7 0.991 0.488 0.569
Tl8 0.802 0.007 0.932
Tl9 0.992 0.486 0.069
Tl10 0.501 0.501 0.700
Tl11 0.306 0.802 0.431
Tl12 0.498 0.498 0.200
Tl13 0.694 0.197 0.469
Tl14 0.802 0.009 0.431
Tl15 0.009 0.512 0.431
Tl16 0.801 0.008 0.231
Tl17 0.308 0.802 0.931
Tl18 0.502 0.502 0.300
Tl19 0.800 0.008 0.031
Tl20 0.694 0.197 0.769
Tl21 0.197 0.991 0.269
Tl22 0.306 0.801 0.231
Tl23 0.803 0.009 0.331
Tl24 0.007 0.513 0.932
Tl25 0.197 0.991 0.769
Tl26 0.498 0.498 0.800
Tl27 0.992 0.487 0.869
Tl28 0.197 0.991 0.569
Tl29 0.198 0.991 0.669
Tl30 0.997 0.997 0.999
Tl31 0.512 0.306 0.331
Tl32 0.803 0.008 0.132
Tl33 0.488 0.694 0.469
Tl34 0.513 0.305 0.031
Tl35 0.008 0.512 0.731
Tl36 0.488 0.694 0.769
Tl37 0.198 0.993 0.168
Tl38 0.009 0.512 0.531
Tl39 0.488 0.694 0.869
Tl40 0.499 0.499 0.400
Tl41 0.197 0.992 0.369
Tl42 0.009 0.512 0.331
Tl43 0.502 0.502 0.900
Tl44 0.306 0.803 0.531
Tl45 0.803 0.008 0.731
Tl46 0.009 0.511 0.831
Tl47 0.500 0.500 0.600
Tl48 0.488 0.694 0.669
Tl49 0.200 0.992 0.069
Tl50 0.305 0.803 0.831
Tl51 0.511 0.305 0.831
Tl52 0.306 0.803 0.731
Tl53 0.803 0.009 0.531
Tl54 0.306 0.803 0.331
Tl55 0.500 0.500 0.500
Tl56 0.991 0.489 0.269
Tl57 0.008 0.513 0.231
Tl58 0.487 0.695 0.069
Tl59 0.487 0.692 0.169
Tl60 0.003 0.003 0.101
Tl61 0.694 0.199 0.869
Tl62 0.488 0.694 0.369
Tl63 0.009 0.512 0.631
Tl64 0.512 0.306 0.731
Tl65 0.992 0.488 0.369
Tl66 0.488 0.694 0.569
Tl67 0.512 0.306 0.631
Tl68 0.695 0.200 0.069
Tl69 0.308 0.803 0.132
Tl70 0.991 0.488 0.469
Tl71 0.199 0.992 0.869
Tl72 0.197 0.992 0.968
Tl73 0.008 0.514 0.031
Tl74 0.489 0.695 0.269
Tl75 0.305 0.800 0.031
Tl76 0.487 0.692 0.968
Tl77 0.694 0.198 0.669
Tl78 0.513 0.308 0.132
Tl79 0.803 0.009 0.631
Tl80 0.512 0.306 0.231
Tl81 0.692 0.198 0.169
Tl82 0.306 0.803 0.631
Tl83 0.695 0.197 0.269
Tl84 0.008 0.513 0.132
Tl85 0.694 0.197 0.569
Tl86 0.512 0.306 0.431
Tl87 0.692 0.197 0.968
Tl88 0.991 0.488 0.669
Tl89 0.512 0.306 0.531
Tl90 0.993 0.487 0.168
Te1 0.680 0.149 0.700
Te2 0.320 0.851 0.300
Te3 0.231 0.231 0.846
Te4 0.851 0.680 0.700
Te5 0.320 0.851 0.500
Te6 0.236 0.236 0.747
Te7 0.233 0.233 0.647
Te8 0.320 0.851 0.700
Te9 0.237 0.237 0.347
Te10 0.851 0.681 0.400
Te11 0.819 0.648 0.100
Te12 0.821 0.651 0.000
Te13 0.274 0.274 0.055
Te14 0.764 0.764 0.353
Te15 0.851 0.681 0.200
Te16 0.726 0.726 0.045
Te17 0.320 0.851 0.800
Te18 0.651 0.181 0.000
Te19 0.763 0.763 0.753
Te20 0.352 0.821 0.000
Te21 0.149 0.320 0.300
Te22 0.769 0.769 0.254
Te23 0.149 0.320 0.800
Te24 0.320 0.851 0.400
Te25 0.754 0.754 0.151
Te26 0.149 0.320 0.500
Te27 0.680 0.149 0.800
Te28 0.248 0.248 0.150
Te29 0.767 0.767 0.453
Te30 0.179 0.349 0.100
Te31 0.770 0.770 0.854
Te32 0.851 0.680 0.300
Te33 0.230 0.230 0.246
Te34 0.246 0.246 0.949
Te35 0.752 0.752 0.950
Te36 0.680 0.149 0.400
Te37 0.181 0.352 0.000
Te38 0.680 0.149 0.600
Te39 0.680 0.149 0.900
Te40 0.320 0.851 0.200
Te41 0.149 0.320 0.600
Te42 0.680 0.149 0.300
Te43 0.680 0.149 0.500
Te44 0.851 0.680 0.900
Te45 0.149 0.319 0.700
Te46 0.648 0.179 0.100
Te47 0.851 0.680 0.600
Te48 0.765 0.765 0.553
Te49 0.851 0.680 0.800
Te50 0.235 0.235 0.547
Te51 0.851 0.680 0.500
Te52 0.767 0.767 0.653
Te53 0.149 0.320 0.400
Te54 0.149 0.319 0.900
Te55 0.233 0.233 0.447
Te56 0.319 0.851 0.900
Te57 0.149 0.320 0.200
Te58 0.320 0.851 0.600
Te59 0.349 0.819 0.100
Te60 0.681 0.149 0.200
Sb1 0.998 0.998 0.300
Sb2 0.004 0.004 0.201
Sb3 0.002 0.002 0.800
Sb4 0.001 0.001 0.400
Sb5 0.001 0.001 0.600
Sb6 0.491 0.491 0.098
Sb7 0.509 0.509 0.002
Sb8 0.996 0.996 0.899
Sb9 0.999 0.999 0.700
Sb10 0.999 0.999 0.500
```

Summary:
- Energy relative to the elements: -0.44 eV/atom
- Energy above the most stable polymorph in this dataset: 2 meV/atom
- Total DFT energy (no corrections): -488.0 eV for the cell shown